Entry 1:
# NaGeN PBE relaxed
# M_tot in μB/atom: 0.000
# DFT total energy in eV/cell: -29.38
# Energy of formation from the pure elements in meV/atom: -256
data_NaGeN
_chemical_formula_sum 'Na2 Ge2 N2'
_space_group_name_H-M_alt 'P 63 m c'
_space_group_IT_number 186
_space_group_name_Hall 'P 6c -2c'
_cell_length_a 3.1053
_cell_length_b 3.1053
_cell_length_c 10.5219
_cell_angle_alpha 90.00
_cell_angle_beta 90.00
_cell_angle_gamma 120.00
loop_
_atom_site_label
_atom_site_type_symbol
_atom_site_fract_x
_atom_site_fract_y
_atom_site_fract_z
Na1 Na 0.3333 0.6667 0.0000
Ge1 Ge 0.0000 0.0000 0.2471
N1 N 0.3333 0.6667 0.3362



Entry 2:
# NiGe2N2 PBE relaxed
# M_tot in μB/atom: 0.000
# DFT total energy in eV/cell: -123.28
# Energy of formation from the pure elements in meV/atom: 32
data_NiGe2N2
_chemical_formula_sum 'Ni4 Ge8 N8'
_space_group_name_H-M_alt 'P n m a'
_space_group_IT_number 62
_space_group_name_Hall '-P 2ac 2n'
_cell_length_a 6.720
_cell_length_b 3.070
_cell_length_c 12.026
_cell_angle_alpha 90.00
_cell_angle_beta 90.00
_cell_angle_gamma 90.00
loop_
_atom_site_label
_atom_site_type_symbol
_atom_site_fract_x
_atom_site_fract_y
_atom_site_fract_z
Ni1 Ni 0.222 0.250 0.127
Ge1 Ge 0.014 0.750 0.349
Ge2 Ge 0.131 0.750 0.905
N1 N 0.167 0.250 0.283
N2 N 0.227 0.750 0.468



Entry 3:
# NiGe7N10 PBE relaxed
# M_tot in μB/atom: 0.000
# DFT total energy in eV/cell: -236.53
# Energy of formation from the pure elements in meV/atom: -21
data_NiGe7N10
_chemical_formula_sum 'Ni2 Ge14 N20'
_space_group_name_H-M_alt 'P 1 c 1'
_space_group_IT_number 7
_space_group_name_Hall 'P -2yc'
_cell_length_a 6.918
_cell_length_b 7.422
_cell_length_c 10.232
_cell_angle_alpha 90.00
_cell_angle_beta 101.95
_cell_angle_gamma 90.00
loop_
_atom_site_label
_atom_site_type_symbol
_atom_site_fract_x
_atom_site_fract_y
_atom_site_fract_z
Ni1 Ni 0.000 0.121 0.000
Ge1 Ge 0.169 0.395 0.895
Ge2 Ge 0.354 0.371 0.203
Ge3 Ge 0.386 0.016 0.846
Ge4 Ge 0.540 0.364 0.506
Ge5 Ge 0.596 0.018 0.143
Ge6 Ge 0.704 0.354 0.811
Ge7 Ge 0.895 0.382 0.139
N1 N 0.128 0.426 0.264
N2 N 0.175 0.148 0.873
N3 N 0.344 0.486 0.043
N4 N 0.370 0.127 0.190
N5 N 0.497 0.122 0.494
N6 N 0.558 0.450 0.339
N7 N 0.593 0.134 0.789
N8 N 0.758 0.406 0.643
N9 N 0.822 0.142 0.125
N10 N 0.928 0.363 0.953



Entry 4:
# Ge2N2O PBE relaxed
# Piezoelectric modulus e_max in C/m²: 0.54
# M_tot in μB/atom: 0.000
# DFT total energy in eV/cell: -133.28
# Energy of formation from the pure elements in meV/atom: -628
data_Ge2N2O
_chemical_formula_sum 'Ge8 N8 O4'
_space_group_name_H-M_alt 'C m c 21'
_space_group_IT_number 36
_space_group_name_Hall 'C 2c -2'
_cell_length_a 3.094
_cell_length_b 17.550
_cell_length_c 5.110
_cell_angle_alpha 90.00
_cell_angle_beta 90.00
_cell_angle_gamma 90.00
loop_
_atom_site_label
_atom_site_type_symbol
_atom_site_fract_x
_atom_site_fract_y
_atom_site_fract_z
Ge1 Ge 0.000 0.057 0.000
Ge2 Ge 0.000 0.282 0.489
N1 N 0.000 0.258 0.846
N2 N 0.000 0.387 0.437
O1 O 0.000 0.031 0.338



Entry 5:
# Ge2N2O PBE relaxed
# M_tot in μB/atom: 0.000
# DFT total energy in eV/cell: -131.71
# Energy of formation from the pure elements in meV/atom: -549
data_Ge2N2O
_chemical_formula_sum 'Ge8 N8 O4'
_space_group_name_H-M_alt 'C 1 2/m 1'
_space_group_IT_number 12
_space_group_name_Hall '-C 2y'
_cell_length_a 12.383
_cell_length_b 3.054
_cell_length_c 5.774
_cell_angle_alpha 90.00
_cell_angle_beta 103.91
_cell_angle_gamma 90.00
loop_
_atom_site_label
_atom_site_type_symbol
_atom_site_fract_x
_atom_site_fract_y
_atom_site_fract_z
Ge1 Ge 0.084 0.000 0.289
Ge2 Ge 0.157 0.500 0.835
N1 N 0.001 0.500 0.250
N2 N 0.176 0.000 0.072
O1 O 0.163 0.000 0.604



Entry 6:
# Ge11N11O5 PBE relaxed
# M_tot in μB/atom: 0.000
# Energy relative to the lowest polymorph listed for this composition in meV/atom: 0.7
# DFT total energy in eV/cell: -353.59
# Energy of formation from the pure elements in meV/atom: -479
data_Ge11N11O5
_chemical_formula_sum 'Ge22 N22 O10'
_space_group_name_H-M_alt 'C 1 m 1'
_space_group_IT_number 8
_space_group_name_Hall 'C -2y'
_cell_length_a 10.260
_cell_length_b 5.889
_cell_length_c 10.224
_cell_angle_alpha 90.00
_cell_angle_beta 109.48
_cell_angle_gamma 90.00
loop_
_atom_site_label
_atom_site_type_symbol
_atom_site_fract_x
_atom_site_fract_y
_atom_site_fract_z
Ge1 Ge 0.000 0.000 0.000
Ge2 Ge 0.002 0.256 0.744
Ge3 Ge 0.006 0.250 0.248
Ge4 Ge 0.007 0.500 0.499
Ge5 Ge 0.192 0.500 0.060
Ge6 Ge 0.254 0.500 0.749
Ge7 Ge 0.256 0.000 0.246
Ge8 Ge 0.320 0.500 0.437
Ge9 Ge 0.326 0.000 0.936
N1 N 0.120 0.500 0.373
N2 N 0.127 0.233 0.125
N3 N 0.127 0.500 0.863
N4 N 0.386 0.500 0.636
N5 N 0.387 0.232 0.372
N6 N 0.387 0.268 0.866
N7 N 0.389 0.000 0.137
N8 N 0.391 0.500 0.127
O1 O 0.118 0.000 0.863
O2 O 0.121 0.000 0.344
O3 O 0.122 0.281 0.633
O4 O 0.402 0.000 0.630



Entry 7:
# Ge2N2O PBE relaxed
# Piezoelectric modulus e_max in C/m²: 0.51
# M_tot in μB/atom: 0.000
# DFT total energy in eV/cell: -133.51
# Energy of formation from the pure elements in meV/atom: -639
data_Ge2N2O
_chemical_formula_sum 'Ge8 N8 O4'
_space_group_name_H-M_alt 'C 1 c 1'
_space_group_IT_number 9
_space_group_name_Hall 'C -2yc'
_cell_length_a 9.968
_cell_length_b 5.412
_cell_length_c 5.974
_cell_angle_alpha 90.00
_cell_angle_beta 122.04
_cell_angle_gamma 90.00
loop_
_atom_site_label
_atom_site_type_symbol
_atom_site_fract_x
_atom_site_fract_y
_atom_site_fract_z
Ge1 Ge 0.000 0.075 0.000
Ge2 Ge 0.174 0.414 0.491
N1 N 0.079 0.391 0.125
N2 N 0.381 0.477 0.140
O1 O 0.173 0.112 0.613



Entry 8:
# Ge11N11O5 PBE relaxed
# M_tot in μB/atom: 0.000
# Energy relative to the lowest polymorph listed for this composition in meV/atom: 3.9
# DFT total energy in eV/cell: -530.13
# Energy of formation from the pure elements in meV/atom: -476
data_Ge11N11O5
_chemical_formula_sum 'Ge33 N33 O15'
_space_group_name_H-M_alt 'R 3 m'
_space_group_IT_number 160
_space_group_name_Hall 'R 3 -2"'
_cell_length_a 5.9062
_cell_length_b 5.9062
_cell_length_c 28.8932
_cell_angle_alpha 90.00
_cell_angle_beta 90.00
_cell_angle_gamma 120.00
loop_
_atom_site_label
_atom_site_type_symbol
_atom_site_fract_x
_atom_site_fract_y
_atom_site_fract_z
Ge1 Ge 0.0000 0.0000 0.0000
Ge2 Ge 0.0000 0.0000 0.1209
Ge3 Ge 0.0000 0.0000 0.3094
Ge4 Ge 0.0000 0.0000 0.4991
Ge5 Ge 0.0000 0.0000 0.8105
Ge6 Ge 0.0008 0.5004 0.0610
Ge7 Ge 0.1722 0.3445 0.8915
N1 N 0.0000 0.0000 0.1868
N2 N 0.0000 0.0000 0.4315
N3 N 0.0203 0.5102 0.4345
N4 N 0.1781 0.3561 0.5224
N5 N 0.1788 0.3576 0.0189
O1 O 0.0000 0.0000 0.6953
O2 O 0.0000 0.0000 0.9333
O3 O 0.0440 0.5220 0.9314